[1]
This record from the Materials Project database describes a relaxed structure of Na4Sc2Ti2Si3S3O24. The functional is PBE.

a = 8.9573 Å, b = 8.9358 Å, c = 22.5356 Å
α = 90.14°, β = 89.96°, γ = 119.76°
Sites, in units of the cell vectors:
Na: 0.9888 0.6394 0.2530
Na: 0.9950 0.3600 0.7428
Na: 0.6616 0.9739 0.5916
Na: 0.6667 0.6978 0.0802
Na: 0.3355 0.3057 0.9054
Na: 0.3216 0.0236 0.4207
Na: 0.0066 0.9914 0.5039
Na: 0.9897 0.9864 0.9978
Na: 0.6536 0.3203 0.8239
Na: 0.6559 0.3406 0.3345
Na: 0.3277 0.6705 0.1695
Na: 0.3189 0.6685 0.6609
Sc: 0.9992 0.9879 0.3527
Sc: 0.9906 0.9923 0.8502
Sc: 0.6565 0.3224 0.6862
Sc: 0.6645 0.3332 0.1892
Sc: 0.3318 0.6743 0.0188
Sc: 0.3154 0.6612 0.5214
Ti: 0.0173 0.0274 0.6465
Ti: 0.9926 0.9736 0.1529
Ti: 0.6823 0.3587 0.9802
Ti: 0.6799 0.3349 0.4863
Ti: 0.3255 0.6693 0.3122
Ti: 0.3639 0.6716 0.8070
Si: 0.2954 0.9995 0.2538
Si: 0.6954 0.7048 0.2514
Si: 0.2957 0.2918 0.7548
Si: 0.7142 0.9999 0.7472
Si: 0.9638 0.3361 0.5887
Si: 0.3719 0.0456 0.5809
Si: 0.9664 0.6306 0.0873
Si: 0.6307 0.6731 0.9198
Si: 0.0290 0.6547 0.4167
S: 0.0057 0.2882 0.2486
S: 0.0086 0.7123 0.7499
S: 0.6747 0.6280 0.5819
S: 0.6734 0.0493 0.0813
S: 0.3704 0.3260 0.0814
S: 0.0352 0.3760 0.9174
S: 0.3407 0.9637 0.9160
S: 0.6215 0.9590 0.4159
S: 0.3370 0.3795 0.4144
O: 0.2169 0.0288 0.3136
O: 0.8321 0.8024 0.3034
O: 0.9879 0.1927 0.3030
O: 0.2110 0.1882 0.8157
O: 0.9907 0.7932 0.8052
O: 0.8294 0.0223 0.8051
O: 0.8010 0.9684 0.6875
O: 0.1611 0.1948 0.6980
O: 0.0302 0.8173 0.6971
O: 0.7904 0.8238 0.1887
O: 0.0214 0.2004 0.1947
O: 0.1532 0.9626 0.1971
O: 0.8821 0.3627 0.6480
O: 0.4987 0.1371 0.6360
O: 0.6509 0.5280 0.6362
O: 0.8716 0.5189 0.1446
O: 0.6520 0.1265 0.1356
O: 0.4829 0.3514 0.1328
O: 0.4532 0.3064 0.0258
O: 0.8298 0.5259 0.0284
O: 0.6802 0.1499 0.0280
O: 0.4646 0.1634 0.5193
O: 0.6889 0.5343 0.5281
O: 0.8275 0.3061 0.5313
O: 0.5371 0.6821 0.9800
O: 0.1451 0.4693 0.9693
O: 0.3212 0.8619 0.9708
O: 0.5520 0.8604 0.4711
O: 0.3304 0.4678 0.4685
O: 0.1625 0.6935 0.4700
O: 0.1313 0.6369 0.3552
O: 0.5054 0.8631 0.3642
O: 0.3496 0.4834 0.3604
O: 0.1044 0.4730 0.8626
O: 0.3538 0.8739 0.8632
O: 0.4957 0.6356 0.8631
O: 0.0162 0.8323 0.4134
O: 0.7977 0.9911 0.4074
O: 0.1774 0.2068 0.4125
O: 0.0236 0.2045 0.9171
O: 0.1900 0.9903 0.9148
O: 0.8230 0.8304 0.9145
O: 0.9641 0.1491 0.5890
O: 0.1800 0.0233 0.5917
O: 0.8330 0.7979 0.5835
O: 0.9682 0.8191 0.0890
O: 0.8322 0.0339 0.0829
O: 0.1986 0.1730 0.0868
O: 0.6924 0.1687 0.7462
O: 0.4887 0.3322 0.7462
O: 0.8558 0.5383 0.7468
O: 0.6844 0.5182 0.2447
O: 0.8551 0.3157 0.2443
O: 0.4840 0.1535 0.2405
O: 0.6348 0.4830 0.9257
O: 0.8574 0.3515 0.9263
O: 0.4993 0.1376 0.9207
O: 0.6227 0.1270 0.4180
O: 0.4885 0.3542 0.4145
O: 0.8393 0.4804 0.4246
O: 0.3578 0.4866 0.0781
O: 0.1562 0.6572 0.0779
O: 0.5221 0.8686 0.0781
O: 0.3660 0.8598 0.5756
O: 0.5249 0.6546 0.5747
O: 0.1559 0.4910 0.5787
O: 0.2934 0.8114 0.2564
O: 0.5073 0.6888 0.2592
O: 0.1645 0.4646 0.2505
O: 0.2940 0.4808 0.7601
O: 0.1649 0.6913 0.7557
O: 0.5192 0.8239 0.7571

Properties
Raw total energy (Ry per atom): -0.52398
SG: P1
Formation energy (eV per atom): -2.795

[2]
This record from the Materials Project database describes a relaxed structure of Na10Sc4Ti4Si7S5O48. The functional is PBE.

a = 17.9719 Å, b = 9.0121 Å, c = 22.4526 Å
α = 90.02°, β = 88.42°, γ = 119.99°
Sites, in units of the cell vectors:
Na: 0.1852 0.3692 0.2428
Na: 0.6853 0.3699 0.2434
Na: 0.9937 0.6304 0.2532
Na: 0.4943 0.6303 0.2529
Na: 0.4940 0.3551 0.7568
Na: 0.1849 0.0006 0.7460
Na: 0.6856 0.0014 0.7452
Na: 0.6555 0.3416 0.5814
Na: 0.0188 0.7040 0.5795
Na: 0.8277 0.9621 0.5893
Na: 0.4883 0.6727 0.9151
Na: 0.9905 0.6743 0.9147
Na: 0.8527 0.0358 0.9107
Na: 0.1591 0.2973 0.9215
Na: 0.4893 0.3082 0.4142
Na: 0.9863 0.3034 0.4138
Na: 0.3521 0.6687 0.4102
Na: 0.8528 0.6694 0.4118
Na: 0.0200 0.0106 0.4985
Na: 0.5128 0.9915 0.4979
Na: 0.0093 0.0122 0.0027
Na: 0.5108 0.0306 0.9969
Na: 0.3405 0.3326 0.8325
Na: 0.8430 0.3424 0.8268
Na: 0.3350 0.3259 0.3293
Na: 0.8342 0.3246 0.3320
Na: 0.1757 0.6658 0.1610
Na: 0.6755 0.6666 0.1612
Na: 0.1752 0.6719 0.6690
Na: 0.6736 0.6816 0.6658
Sc: 0.0006 0.9958 0.3525
Sc: 0.5012 0.9979 0.3518
Sc: 0.9979 0.9997 0.8502
Sc: 0.4962 0.0055 0.8545
Sc: 0.3322 0.3251 0.6864
Sc: 0.8343 0.3324 0.6865
Sc: 0.3333 0.3430 0.1843
Sc: 0.8332 0.3421 0.1845
Sc: 0.1602 0.6496 0.0193
Sc: 0.6581 0.6472 0.0198
Sc: 0.1637 0.6719 0.5180
Sc: 0.6598 0.6698 0.5196
Ti: 0.9966 0.9759 0.6484
Ti: 0.4963 0.9727 0.6494
Ti: 0.9985 0.0212 0.1474
Ti: 0.4982 0.0194 0.1475
Ti: 0.3265 0.3085 0.9781
Ti: 0.8216 0.3165 0.9781
Ti: 0.3238 0.3314 0.4778
Ti: 0.8257 0.3487 0.4798
Ti: 0.1622 0.6381 0.3123
Ti: 0.6618 0.6388 0.3129
Ti: 0.1596 0.6831 0.8120
Ti: 0.6630 0.6878 0.8131
Si: 0.3536 0.7164 0.2510
Si: 0.8537 0.7166 0.2508
Si: 0.9964 0.2897 0.2533
Si: 0.4965 0.2905 0.2530
Si: 0.9962 0.6986 0.7529
Si: 0.4970 0.7022 0.7545
Si: 0.3529 0.9907 0.7500
Si: 0.8524 0.9941 0.7519
Si: 0.1861 0.0412 0.5867
Si: 0.6853 0.0441 0.5861
Si: 0.8324 0.6275 0.5843
Si: 0.1858 0.3299 0.0855
Si: 0.6839 0.3294 0.0873
Si: 0.0193 0.3760 0.9173
Si: 0.5195 0.3749 0.9170
Si: 0.1666 0.9578 0.9183
Si: 0.6641 0.9576 0.9200
Si: 0.1645 0.3706 0.4190
Si: 0.6643 0.3681 0.4199
Si: 0.0193 0.6632 0.4181
Si: 0.5190 0.6648 0.4170
S: 0.1454 0.9958 0.2480
S: 0.6455 0.9956 0.2477
S: 0.1446 0.2970 0.7483
S: 0.6437 0.2915 0.7480
S: 0.4772 0.3253 0.5822
S: 0.9799 0.3297 0.5811
S: 0.3348 0.6256 0.5820
S: 0.4792 0.6335 0.0827
S: 0.9791 0.6322 0.0821
S: 0.3347 0.0444 0.0837
S: 0.8347 0.0445 0.0824
S: 0.3101 0.6617 0.9170
S: 0.8091 0.6586 0.9170
S: 0.3100 0.9614 0.4160
S: 0.8097 0.9592 0.4162
O: 0.1078 0.0277 0.3026
O: 0.6080 0.0280 0.3024
O: 0.4107 0.7877 0.3099
O: 0.9113 0.7877 0.3095
O: 0.4879 0.1864 0.3131
O: 0.9886 0.1862 0.3133
O: 0.1079 0.1942 0.8047
O: 0.6028 0.1829 0.8011
O: 0.4885 0.7909 0.8136
O: 0.9915 0.7923 0.8129
O: 0.4178 0.0426 0.8038
O: 0.9056 0.0198 0.8115
O: 0.4078 0.9725 0.6908
O: 0.9063 0.9775 0.6923
O: 0.0908 0.2056 0.6974
O: 0.5917 0.2105 0.6937
O: 0.0142 0.8278 0.6927
O: 0.5153 0.8327 0.6946
O: 0.4096 0.8435 0.1938
O: 0.9102 0.8448 0.1936
O: 0.0168 0.1983 0.1947
O: 0.5161 0.1971 0.1948
O: 0.0906 0.9716 0.1961
O: 0.5905 0.9713 0.1961
O: 0.4363 0.3455 0.6368
O: 0.9377 0.3551 0.6339
O: 0.2395 0.1290 0.6450
O: 0.7401 0.1215 0.6452
O: 0.3249 0.5210 0.6347
O: 0.8181 0.4991 0.6377
O: 0.4380 0.5298 0.1379
O: 0.9378 0.5297 0.1373
O: 0.3251 0.1268 0.1368
O: 0.8258 0.1302 0.1352
O: 0.2368 0.3420 0.1451
O: 0.7357 0.3418 0.1465
O: 0.2397 0.3074 0.0263
O: 0.7402 0.3073 0.0288
O: 0.4287 0.5439 0.0299
O: 0.9287 0.5429 0.0291
O: 0.3469 0.1514 0.0285
O: 0.8469 0.1483 0.0264
O: 0.2425 0.1727 0.5279
O: 0.7400 0.1827 0.5288
O: 0.3467 0.5458 0.5258
O: 0.8500 0.5417 0.5218
O: 0.4280 0.3147 0.5287
O: 0.9292 0.3083 0.5269
O: 0.2708 0.6834 0.9717
O: 0.7704 0.6853 0.9711
O: 0.0829 0.4552 0.9721
O: 0.5769 0.4647 0.9733
O: 0.1517 0.8334 0.9732
O: 0.6575 0.8392 0.9745
O: 0.2712 0.8589 0.4704
O: 0.7723 0.8587 0.4718
O: 0.1563 0.4743 0.4738
O: 0.6539 0.4596 0.4783
O: 0.0728 0.6889 0.4775
O: 0.5773 0.6920 0.4728
O: 0.0728 0.6398 0.3595
O: 0.5674 0.6343 0.3568
O: 0.2590 0.8823 0.3634
O: 0.7575 0.8735 0.3643
O: 0.1837 0.4917 0.3565
O: 0.6806 0.4926 0.3586
O: 0.0708 0.5103 0.8597
O: 0.5673 0.5051 0.8569
O: 0.1806 0.8735 0.8552
O: 0.6846 0.8760 0.8571
O: 0.2576 0.6371 0.8644
O: 0.7592 0.6363 0.8640
O: 0.9986 0.8184 0.4131
O: 0.4962 0.8171 0.4124
O: 0.3974 0.9811 0.4111
O: 0.8970 0.9766 0.4108
O: 0.0799 0.1860 0.4136
O: 0.5792 0.1841 0.4131
O: 0.0029 0.1816 0.9112
O: 0.5024 0.1829 0.9119
O: 0.0856 0.9907 0.9128
O: 0.5800 0.9736 0.9134
O: 0.3981 0.8091 0.9119
O: 0.8979 0.8127 0.9122
O: 0.4864 0.1706 0.5857
O: 0.9862 0.1721 0.5871
O: 0.0906 0.0274 0.5897
O: 0.5917 0.0401 0.5899
O: 0.4163 0.7972 0.5856
O: 0.9220 0.8167 0.5894
O: 0.4849 0.8033 0.0873
O: 0.9851 0.8024 0.0863
O: 0.4160 0.0346 0.0865
O: 0.9163 0.0346 0.0860
O: 0.0895 0.1496 0.0904
O: 0.5887 0.1490 0.0910
O: 0.3366 0.1543 0.7430
O: 0.8305 0.1477 0.7457
O: 0.2312 0.3133 0.7423
O: 0.7295 0.3093 0.7430
O: 0.4202 0.5094 0.7444
O: 0.9156 0.5117 0.7457
O: 0.3369 0.5203 0.2436
O: 0.8373 0.5207 0.2431
O: 0.4193 0.3294 0.2443
O: 0.9195 0.3294 0.2443
O: 0.2322 0.1470 0.2416
O: 0.7323 0.1469 0.2414
O: 0.3181 0.5018 0.9217
O: 0.8227 0.5069 0.9235
O: 0.4259 0.3748 0.9263
O: 0.9256 0.3692 0.9256
O: 0.2549 0.1522 0.9234
O: 0.7559 0.1479 0.9253
O: 0.3231 0.1393 0.4224
O: 0.8229 0.1356 0.4212
O: 0.2560 0.3645 0.4243
O: 0.7565 0.3659 0.4213
O: 0.4244 0.4799 0.4247
O: 0.9260 0.4773 0.4218
O: 0.1751 0.4972 0.0805
O: 0.6747 0.4973 0.0813
O: 0.0658 0.6518 0.0794
O: 0.5662 0.6544 0.0804
O: 0.2597 0.8729 0.0782
O: 0.7603 0.8725 0.0785
O: 0.1688 0.8460 0.5807
O: 0.6768 0.8583 0.5780
O: 0.2602 0.6488 0.5777
O: 0.7507 0.6553 0.5788
O: 0.0662 0.4842 0.5774
O: 0.5653 0.4782 0.5801
O: 0.1504 0.8369 0.2540
O: 0.6506 0.8372 0.2539
O: 0.2574 0.6988 0.2565
O: 0.7574 0.6982 0.2567
O: 0.0885 0.4817 0.2558
O: 0.5888 0.4817 0.2556
O: 0.1538 0.4677 0.7534
O: 0.6494 0.4611 0.7533
O: 0.0901 0.6998 0.7542
O: 0.5894 0.6964 0.7549
O: 0.2581 0.8166 0.7554
O: 0.7570 0.8127 0.7567

Properties
Raw total energy (Ry per atom): -0.52198
SG: P1
Formation energy (eV per atom): -2.829

The lowest formation energy belongs to which entry? Na10Sc4Ti4Si7S5O48